<i>
First-principles (PBE) data for a relaxed structure of U, as listed in Materials Project.

```
U
1.0
1.971 4.649 0.339
-5.337 2.183 1.091
1.660 -1.518 11.156
U
16
Direct
0.000 0.216 0.000
0.000 0.784 0.000
0.000 0.282 0.500
0.000 0.718 0.500
0.500 0.283 0.123
0.500 0.283 0.877
0.500 0.717 0.877
0.500 0.717 0.123
0.000 0.223 0.249
0.000 0.223 0.751
0.000 0.777 0.751
0.000 0.777 0.249
0.500 0.223 0.376
0.500 0.223 0.624
0.500 0.777 0.624
0.500 0.777 0.376
```

Volume   21.13 A^3/atom
Density   18.7 g cm⁻³
Space-group type   Pmmm (47)

=====

<ii>
First-principles (PBE) data for a relaxed structure of U, as listed in Materials Project.

```
U
1.0
-6.184 -1.562 8.238
8.108 -3.722 5.380
1.170 5.260 1.876
U
30
Direct
0.000 0.000 0.731
0.500 0.500 0.231
0.110 0.110 0.267
0.610 0.390 0.767
0.390 0.610 0.767
0.890 0.890 0.267
0.323 0.323 0.948
0.823 0.177 0.448
0.177 0.823 0.448
0.677 0.677 0.948
0.677 0.677 0.499
0.177 0.823 0.999
0.823 0.177 0.999
0.323 0.323 0.499
0.229 0.556 0.250
0.056 0.271 0.750
0.944 0.729 0.750
0.771 0.444 0.250
0.729 0.944 0.750
0.271 0.056 0.750
0.444 0.771 0.250
0.556 0.229 0.250
0.050 0.359 0.191
0.859 0.450 0.691
0.141 0.550 0.691
0.950 0.641 0.191
0.550 0.141 0.691
0.450 0.859 0.691
0.641 0.950 0.191
0.359 0.050 0.191
```

Volume   20.64 A^3/atom
Density   19.1 g cm⁻³
Space-group type   P4_2nm (102)

=====

It is <ii> that is most stable; the runner-up trails by 0.265 eV/atom.